Entry 1:
{
  "formula": "PaCl2O",
  "functional": "PBE-GGA",
  "state": "optimized geometry",
  "formation_energy_ev_per_atom": -2.68,
  "magnetic_moment_mub_per_fu": 1.000,
  "final_energy_ev_per_atom": -7.047,
  "cell": [[15.5562, 0.0000, 0.0000], [0.0000, 18.0822, 0.0000], [0.0000, 0.0000, 4.0083]],
  "species": ["Pa", "Pa", "Pa", "Pa", "Pa", "Pa", "Pa", "Pa", "Pa", "Pa", "Pa", "Pa", "Cl", "Cl", "Cl", "Cl", "Cl", "Cl", "Cl", "Cl", "Cl", "Cl", "Cl", "Cl", "Cl", "Cl", "Cl", "Cl", "Cl", "Cl", "Cl", "Cl", "Cl", "Cl", "Cl", "Cl", "O", "O", "O", "O", "O", "O", "O", "O", "O", "O", "O", "O"],
  "frac_coords": [[0.1574, 0.1647, 0.0000], [0.1654, 0.7470, 0.5000], [0.2205, 0.5263, 0.5000], [0.2795, 0.0263, 0.5000], [0.3346, 0.2470, 0.5000], [0.3426, 0.6647, 0.0000], [0.6574, 0.3353, 0.0000], [0.6654, 0.7530, 0.5000], [0.7205, 0.9737, 0.5000], [0.7795, 0.4737, 0.5000], [0.8346, 0.2530, 0.5000], [0.8426, 0.8353, 0.0000], [0.0317, 0.7804, 0.0000], [0.0675, 0.0841, 0.5000], [0.0736, 0.6153, 0.5000], [0.1239, 0.4554, 0.0000], [0.1413, 0.2809, 0.5000], [0.1747, 0.9017, 0.5000], [0.3253, 0.4017, 0.5000], [0.3587, 0.7809, 0.5000], [0.3761, 0.9554, 0.0000], [0.4264, 0.1153, 0.5000], [0.4325, 0.5841, 0.5000], [0.4683, 0.2804, 0.0000], [0.5317, 0.7196, 0.0000], [0.5675, 0.4159, 0.5000], [0.5736, 0.8847, 0.5000], [0.6239, 0.0446, 0.0000], [0.6413, 0.2191, 0.5000], [0.6747, 0.5983, 0.5000], [0.8253, 0.0983, 0.5000], [0.8587, 0.7191, 0.5000], [0.8761, 0.5446, 0.0000], [0.9264, 0.3847, 0.5000], [0.9325, 0.9159, 0.5000], [0.9683, 0.2196, 0.0000], [0.2179, 0.7369, 0.0000], [0.2249, 0.0537, 0.0000], [0.2406, 0.1474, 0.5000], [0.2594, 0.6474, 0.5000], [0.2751, 0.5537, 0.0000], [0.2821, 0.2369, 0.0000], [0.7179, 0.7631, 0.0000], [0.7249, 0.4463, 0.0000], [0.7406, 0.3526, 0.5000], [0.7594, 0.8526, 0.5000], [0.7751, 0.9463, 0.0000], [0.7821, 0.2631, 0.0000]]
}

---

Entry 2:
{
  "formula": "BaCa3O4",
  "functional": "PBE-GGA",
  "state": "optimized geometry",
  "formation_energy_ev_per_atom": -3.00,
  "magnetic_moment_mub_per_fu": 0.000,
  "final_energy_ev_per_atom": -6.126,
  "cell": [[5.1082, 0.0000, 0.0000], [0.0000, 5.1082, 0.0000], [0.0000, 0.0000, 5.1082]],
  "species": ["Ba", "Ca", "Ca", "Ca", "O", "O", "O", "O"],
  "frac_coords": [[0.0000, 0.0000, 0.0000], [0.0000, 0.5000, 0.5000], [0.5000, 0.0000, 0.5000], [0.5000, 0.5000, 0.0000], [0.0000, 0.0000, 0.5000], [0.0000, 0.5000, 0.0000], [0.5000, 0.0000, 0.0000], [0.5000, 0.5000, 0.5000]]
}

---

Entry 3:
{
  "formula": "CeAlCo",
  "functional": "PBE-GGA",
  "state": "optimized geometry",
  "formation_energy_ev_per_atom": -0.52,
  "final_energy_ev_per_atom": -6.118,
  "cell": [[5.5401, -2.2164, 0.0000], [5.5401, 2.2164, 0.0000], [-1.2798, 0.0000, 4.5623]],
  "species": ["Ce", "Ce", "Al", "Al", "Co", "Co"],
  "frac_coords": [[0.1308, 0.1308, 0.3292], [0.8692, 0.8692, 0.6708], [0.4137, 0.4137, 0.1868], [0.5863, 0.5863, 0.8132], [0.1903, 0.1903, 0.8487], [0.8097, 0.8097, 0.1513]]
}

---

Entry 4:
{
  "formula": "K2S2O7",
  "functional": "PBE-GGA",
  "state": "optimized geometry",
  "formation_energy_ev_per_atom": -2.12,
  "final_energy_ev_per_atom": -5.785,
  "cell": [[6.3399, -3.7295, 0.0000], [6.3399, 3.7295, 0.0000], [-0.2697, 0.0000, 7.4179]],
  "species": ["K", "K", "K", "K", "S", "S", "S", "S", "O", "O", "O", "O", "O", "O", "O", "O", "O", "O", "O", "O", "O", "O"],
  "frac_coords": [[0.0092, 0.6986, 0.6491], [0.3014, 0.9908, 0.8509], [0.6986, 0.0092, 0.1491], [0.9908, 0.3014, 0.3509], [0.2132, 0.5842, 0.1437], [0.4158, 0.7868, 0.3563], [0.5842, 0.2132, 0.6437], [0.7868, 0.4158, 0.8563], [0.0508, 0.6503, 0.2787], [0.1536, 0.7318, 0.9970], [0.2682, 0.8464, 0.5030], [0.3019, 0.3672, 0.0881], [0.3497, 0.9492, 0.2213], [0.3672, 0.3019, 0.5881], [0.4182, 0.5818, 0.2500], [0.5818, 0.4182, 0.7500], [0.6328, 0.6981, 0.4119], [0.6503, 0.0508, 0.7787], [0.6981, 0.6328, 0.9119], [0.7318, 0.1536, 0.4970], [0.8464, 0.2682, 0.0030], [0.9492, 0.3497, 0.7213]]
}

---

Entry 5:
{
  "formula": "CsK4GaO4",
  "functional": "PBE-GGA",
  "state": "optimized geometry",
  "formation_energy_ev_per_atom": -1.71,
  "magnetic_moment_mub_per_fu": 0.005,
  "final_energy_ev_per_atom": -4.255,
  "cell": [[6.7783, 0.0000, 0.0000], [0.0000, 21.1570, 0.0000], [0.0000, 0.0000, 11.7451]],
  "species": ["Cs", "Cs", "Cs", "Cs", "Cs", "Cs", "Cs", "Cs", "K", "K", "K", "K", "K", "K", "K", "K", "K", "K", "K", "K", "K", "K", "K", "K", "K", "K", "K", "K", "K", "K", "K", "K", "K", "K", "K", "K", "K", "K", "K", "K", "Ga", "Ga", "Ga", "Ga", "Ga", "Ga", "Ga", "Ga", "O", "O", "O", "O", "O", "O", "O", "O", "O", "O", "O", "O", "O", "O", "O", "O", "O", "O", "O", "O", "O", "O", "O", "O", "O", "O", "O", "O", "O", "O", "O", "O"],
  "frac_coords": [[0.0780, 0.0019, 0.1547], [0.0780, 0.4981, 0.6547], [0.4220, 0.5019, 0.1547], [0.4220, 0.9981, 0.6547], [0.5780, 0.0019, 0.3453], [0.5780, 0.4981, 0.8453], [0.9220, 0.5019, 0.3453], [0.9220, 0.9981, 0.8453], [0.0869, 0.7480, 0.5765], [0.0869, 0.7520, 0.0765], [0.0881, 0.6776, 0.3256], [0.0881, 0.8224, 0.8256], [0.0898, 0.1398, 0.7028], [0.0898, 0.3602, 0.2028], [0.0924, 0.0673, 0.4421], [0.0924, 0.4327, 0.9421], [0.4076, 0.5673, 0.4421], [0.4076, 0.9327, 0.9421], [0.4102, 0.6398, 0.7028], [0.4102, 0.8602, 0.2028], [0.4119, 0.1776, 0.3256], [0.4119, 0.3224, 0.8256], [0.4131, 0.2480, 0.5765], [0.4131, 0.2520, 0.0765], [0.5869, 0.7480, 0.9235], [0.5869, 0.7520, 0.4235], [0.5881, 0.6776, 0.1744], [0.5881, 0.8224, 0.6744], [0.5898, 0.1398, 0.7972], [0.5898, 0.3602, 0.2972], [0.5924, 0.0673, 0.0579], [0.5924, 0.4327, 0.5579], [0.9076, 0.5673, 0.0579], [0.9076, 0.9327, 0.5579], [0.9102, 0.6398, 0.7972], [0.9102, 0.8602, 0.2972], [0.9119, 0.1776, 0.1744], [0.9119, 0.3224, 0.6744], [0.9131, 0.2480, 0.9235], [0.9131, 0.2520, 0.4235], [0.1961, 0.1284, 0.9661], [0.1961, 0.3716, 0.4661], [0.3039, 0.6284, 0.9661], [0.3039, 0.8716, 0.4661], [0.6961, 0.1284, 0.5339], [0.6961, 0.3716, 0.0339], [0.8039, 0.6284, 0.5339], [0.8039, 0.8716, 0.0339], [0.0856, 0.6212, 0.5378], [0.0856, 0.8788, 0.0378], [0.1845, 0.5563, 0.8957], [0.1845, 0.9437, 0.3957], [0.2213, 0.6359, 0.1221], [0.2213, 0.8641, 0.6221], [0.2236, 0.7028, 0.8827], [0.2236, 0.7972, 0.3827], [0.2764, 0.2028, 0.8827], [0.2764, 0.2972, 0.3827], [0.2787, 0.1359, 0.1221], [0.2787, 0.3641, 0.6221], [0.3155, 0.0563, 0.8957], [0.3155, 0.4437, 0.3957], [0.4144, 0.1212, 0.5378], [0.4144, 0.3788, 0.0378], [0.5856, 0.6212, 0.9622], [0.5856, 0.8788, 0.4622], [0.6845, 0.5563, 0.6043], [0.6845, 0.9437, 0.1043], [0.7213, 0.6359, 0.3779], [0.7213, 0.8641, 0.8779], [0.7236, 0.7028, 0.6173], [0.7236, 0.7972, 0.1173], [0.7764, 0.2028, 0.6173], [0.7764, 0.2972, 0.1173], [0.7787, 0.1359, 0.3779], [0.7787, 0.3641, 0.8779], [0.8155, 0.0563, 0.6043], [0.8155, 0.4437, 0.1043], [0.9144, 0.1212, 0.9622], [0.9144, 0.3788, 0.4622]]
}

---

Entry 6:
{
  "formula": "Li5CuP2O8",
  "functional": "PBE-GGA",
  "state": "optimized geometry",
  "formation_energy_ev_per_atom": -2.52,
  "de_polymorph_mev_per_atom": 5,
  "magnetic_moment_mub_per_fu": 0.000,
  "final_energy_ev_per_atom": -6.181,
  "cell": [[5.3537, 0.0000, 0.0000], [0.0009, 6.2028, 0.0000], [0.0003, 0.0185, 9.9513]],
  "species": ["Li", "Li", "Li", "Li", "Li", "Li", "Li", "Li", "Li", "Li", "Cu", "Cu", "P", "P", "P", "P", "O", "O", "O", "O", "O", "O", "O", "O", "O", "O", "O", "O", "O", "O", "O", "O"],
  "frac_coords": [[0.0000, 0.0000, 0.0000], [0.0002, 0.4958, 0.5028], [0.1705, 0.2475, 0.7517], [0.1718, 0.2477, 0.2516], [0.4821, 0.7481, 0.5020], [0.4830, 0.7469, 0.0011], [0.6528, 0.9939, 0.7520], [0.6538, 0.5000, 0.7506], [0.6554, 0.9951, 0.2514], [0.9993, 0.4932, 0.0004], [0.6611, 0.5044, 0.2545], [0.9923, 0.0042, 0.5050], [0.1533, 0.7458, 0.7585], [0.1533, 0.7489, 0.2523], [0.4999, 0.2449, 0.0025], [0.5007, 0.2498, 0.5081], [0.0101, 0.9526, 0.2023], [0.0134, 0.9557, 0.7123], [0.0149, 0.5420, 0.7041], [0.0298, 0.5382, 0.1968], [0.1489, 0.7440, 0.9147], [0.1549, 0.7388, 0.4091], [0.2236, 0.2463, 0.9527], [0.2284, 0.2620, 0.4531], [0.4274, 0.7606, 0.1995], [0.4280, 0.7478, 0.7063], [0.5002, 0.2387, 0.1595], [0.5031, 0.2440, 0.6643], [0.6241, 0.0408, 0.4504], [0.6381, 0.4516, 0.9517], [0.6387, 0.0396, 0.9505], [0.6455, 0.4567, 0.4629]]
}

---

Entry 7:
{
  "formula": "Mg5CoN4",
  "functional": "PBE-GGA",
  "state": "optimized geometry",
  "formation_energy_ev_per_atom": -0.55,
  "magnetic_moment_mub_per_fu": 3.003,
  "final_energy_ev_per_atom": -5.253,
  "cell": [[6.7029, 0.0000, 0.0000], [0.0000, 7.0922, 0.0000], [0.0000, 0.0000, 5.1833]],
  "species": ["Mg", "Mg", "Mg", "Mg", "Mg", "Mg", "Mg", "Mg", "Mg", "Mg", "Co", "Co", "N", "N", "N", "N", "N", "N", "N", "N"],
  "frac_coords": [[0.0038, 0.0499, 0.2484], [0.0038, 0.4501, 0.2484], [0.2500, 0.2500, 0.7193], [0.4962, 0.0499, 0.2484], [0.4962, 0.4501, 0.2484], [0.5038, 0.5499, 0.7516], [0.5038, 0.9501, 0.7516], [0.7500, 0.7500, 0.2807], [0.9962, 0.5499, 0.7516], [0.9962, 0.9501, 0.7516], [0.2500, 0.7500, 0.2881], [0.7500, 0.2500, 0.7119], [0.0053, 0.7500, 0.0529], [0.2500, 0.9997, 0.5027], [0.2500, 0.5003, 0.5027], [0.4947, 0.7500, 0.0529], [0.5053, 0.2500, 0.9471], [0.7500, 0.0003, 0.4973], [0.7500, 0.4997, 0.4973], [0.9947, 0.2500, 0.9471]]
}

---

Entry 8:
{
  "formula": "Nd3Cu3Sb4",
  "functional": "PBE-GGA",
  "state": "optimized geometry",
  "formation_energy_ev_per_atom": -0.85,
  "final_energy_ev_per_atom": -5.080,
  "cell": [[-4.8857, 4.8857, 4.8857], [4.8857, -4.8857, 4.8857], [4.8857, 4.8857, -4.8857]],
  "species": ["Nd", "Nd", "Nd", "Nd", "Nd", "Nd", "Cu", "Cu", "Cu", "Cu", "Cu", "Cu", "Sb", "Sb", "Sb", "Sb", "Sb", "Sb", "Sb", "Sb"],
  "frac_coords": [[0.1250, 0.7500, 0.8750], [0.2500, 0.6250, 0.3750], [0.3750, 0.2500, 0.6250], [0.6250, 0.3750, 0.2500], [0.7500, 0.8750, 0.1250], [0.8750, 0.1250, 0.7500], [0.1250, 0.8750, 0.2500], [0.2500, 0.1250, 0.8750], [0.3750, 0.6250, 0.7500], [0.6250, 0.7500, 0.3750], [0.7500, 0.3750, 0.6250], [0.8750, 0.2500, 0.1250], [0.0000, 0.3394, 0.5000], [0.0000, 0.8394, 0.5000], [0.1606, 0.1606, 0.1606], [0.3394, 0.5000, 0.0000], [0.5000, 0.0000, 0.3394], [0.5000, 0.0000, 0.8394], [0.6606, 0.6606, 0.6606], [0.8394, 0.5000, 0.0000]]
}

---

Entry 9:
{
  "formula": "Si4Bi2AsH38C14Cl2",
  "functional": "PBE-GGA",
  "state": "optimized geometry",
  "formation_energy_ev_per_atom": -0.23,
  "magnetic_moment_mub_per_fu": 0.000,
  "final_energy_ev_per_atom": -5.065,
  "cell": [[9.8481, 0.0000, 0.0000], [-0.8702, 13.1612, 0.0000], [-3.2417, -1.7412, 13.9016]],
  "species": ["Si", "Si", "Si", "Si", "Si", "Si", "Si", "Si", "Bi", "Bi", "Bi", "Bi", "As", "As", "H", "H", "H", "H", "H", "H", "H", "H", "H", "H", "H", "H", "H", "H", "H", "H", "H", "H", "H", "H", "H", "H", "H", "H", "H", "H", "H", "H", "H", "H", "H", "H", "H", "H", "H", "H", "H", "H", "H", "H", "H", "H", "H", "H", "H", "H", "H", "H", "H", "H", "H", "H", "H", "H", "H", "H", "H", "H", "H", "H", "H", "H", "H", "H", "H", "H", "H", "H", "H", "H", "H", "H", "H", "H", "H", "H", "C", "C", "C", "C", "C", "C", "C", "C", "C", "C", "C", "C", "C", "C", "C", "C", "C", "C", "C", "C", "C", "C", "C", "C", "C", "C", "C", "C", "Cl", "Cl", "Cl", "Cl"],
  "frac_coords": [[0.0100, 0.2275, 0.1160], [0.1140, 0.2323, 0.6222], [0.2873, 0.8336, 0.8354], [0.3797, 0.3956, 0.6306], [0.6203, 0.6044, 0.3694], [0.7127, 0.1664, 0.1646], [0.8860, 0.7677, 0.3778], [0.9900, 0.7725, 0.8840], [0.2358, 0.6146, 0.9701], [0.3066, 0.3368, 0.8551], [0.6934, 0.6632, 0.1449], [0.7642, 0.3854, 0.0299], [0.4653, 0.5272, 0.9174], [0.5347, 0.4728, 0.0826], [0.0067, 0.2100, 0.7636], [0.0275, 0.0656, 0.1964], [0.0289, 0.6184, 0.3784], [0.0320, 0.3638, 0.5137], [0.0354, 0.0957, 0.4848], [0.0535, 0.7851, 0.0637], [0.0750, 0.8765, 0.3398], [0.0870, 0.1413, 0.9778], [0.0881, 0.9065, 0.0267], [0.0898, 0.0998, 0.7310], [0.1075, 0.3956, 0.0791], [0.1097, 0.7184, 0.4716], [0.1163, 0.1739, 0.2767], [0.1212, 0.8843, 0.6895], [0.1322, 0.6758, 0.7923], [0.1662, 0.3836, 0.2033], [0.1890, 0.1658, 0.4716], [0.1922, 0.1191, 0.1844], [0.1945, 0.5177, 0.6083], [0.1950, 0.9901, 0.9057], [0.2022, 0.0738, 0.5542], [0.2258, 0.7876, 0.6575], [0.2400, 0.3137, 0.1171], [0.2466, 0.3454, 0.4582], [0.3001, 0.9165, 0.6902], [0.3195, 0.5526, 0.7194], [0.3311, 0.9462, 0.9919], [0.3609, 0.2345, 0.6964], [0.3621, 0.5790, 0.6100], [0.3727, 0.0142, 0.9001], [0.3769, 0.5297, 0.3481], [0.3786, 0.6602, 0.3264], [0.4022, 0.2816, 0.4840], [0.4038, 0.5640, 0.2370], [0.4119, 0.4128, 0.4666], [0.4659, 0.1378, 0.1683], [0.4752, 0.7301, 0.7958], [0.4819, 0.2198, 0.0798], [0.5181, 0.7802, 0.9202], [0.5248, 0.2699, 0.2042], [0.5341, 0.8622, 0.8317], [0.5881, 0.5872, 0.5334], [0.5962, 0.4360, 0.7630], [0.5978, 0.7184, 0.5160], [0.6214, 0.3398, 0.6736], [0.6231, 0.4703, 0.6519], [0.6273, 0.9858, 0.0999], [0.6379, 0.4210, 0.3900], [0.6391, 0.7655, 0.3036], [0.6689, 0.0538, 0.0081], [0.6805, 0.4474, 0.2806], [0.6999, 0.0835, 0.3098], [0.7534, 0.6546, 0.5418], [0.7600, 0.6863, 0.8829], [0.7742, 0.2124, 0.3425], [0.7978, 0.9262, 0.4458], [0.8050, 0.0099, 0.0943], [0.8055, 0.4823, 0.3917], [0.8078, 0.8809, 0.8156], [0.8110, 0.8342, 0.5284], [0.8338, 0.6164, 0.7967], [0.8678, 0.3242, 0.2077], [0.8788, 0.1157, 0.3105], [0.8837, 0.8261, 0.7233], [0.8903, 0.2816, 0.5284], [0.8925, 0.6044, 0.9209], [0.9102, 0.9002, 0.2690], [0.9119, 0.0935, 0.9733], [0.9130, 0.8587, 0.0222], [0.9250, 0.1235, 0.6602], [0.9465, 0.2149, 0.9363], [0.9646, 0.9043, 0.5152], [0.9680, 0.6362, 0.4863], [0.9711, 0.3816, 0.6216], [0.9725, 0.9344, 0.8036], [0.9933, 0.7900, 0.2364], [0.0089, 0.6760, 0.4338], [0.0150, 0.8372, 0.0108], [0.0269, 0.1604, 0.7027], [0.0923, 0.1377, 0.2016], [0.1388, 0.1334, 0.5238], [0.1421, 0.3413, 0.1306], [0.1612, 0.7297, 0.8597], [0.2261, 0.8580, 0.7061], [0.2919, 0.2978, 0.6903], [0.2964, 0.9575, 0.9159], [0.3063, 0.5230, 0.6431], [0.3570, 0.3541, 0.4975], [0.4270, 0.5885, 0.3149], [0.4709, 0.7970, 0.8475], [0.5291, 0.2030, 0.1525], [0.5730, 0.4115, 0.6851], [0.6430, 0.6459, 0.5025], [0.6937, 0.4770, 0.3569], [0.7036, 0.0425, 0.0841], [0.7081, 0.7022, 0.3097], [0.7739, 0.1420, 0.2939], [0.8388, 0.2703, 0.1403], [0.8579, 0.6587, 0.8694], [0.8612, 0.8666, 0.4762], [0.9077, 0.8623, 0.7984], [0.9731, 0.8396, 0.2973], [0.9850, 0.1628, 0.9892], [0.9911, 0.3240, 0.5662], [0.0737, 0.4413, 0.8385], [0.4260, 0.7512, 0.0981], [0.5740, 0.2488, 0.9019], [0.9263, 0.5587, 0.1615]]
}

---

Entry 10:
{
  "formula": "DyZn12",
  "functional": "PBE-GGA",
  "state": "optimized geometry",
  "formation_energy_ev_per_atom": -0.18,
  "final_energy_ev_per_atom": -1.702,
  "cell": [[-4.4051, 4.4051, 2.6547], [4.4051, -4.4051, 2.6547], [4.4051, 4.4051, -2.6547]],
  "species": ["Dy", "Zn", "Zn", "Zn", "Zn", "Zn", "Zn", "Zn", "Zn", "Zn", "Zn", "Zn", "Zn"],
  "frac_coords": [[0.0000, 0.0000, 0.0000], [0.0000, 0.0000, 0.5000], [0.0000, 0.3516, 0.3516], [0.0000, 0.5000, 0.0000], [0.0000, 0.6484, 0.6484], [0.2830, 0.5000, 0.7830], [0.3516, 0.0000, 0.3516], [0.5000, 0.0000, 0.0000], [0.5000, 0.2830, 0.7830], [0.5000, 0.5000, 0.5000], [0.5000, 0.7170, 0.2170], [0.6484, 0.0000, 0.6484], [0.7170, 0.5000, 0.2170]]
}